Record 1
Entry from the Materials Project: a relaxed structure of DyRh5 (r2SCAN).

Computed properties:
- size of the total moment (Bohr magnetons per cell) = 0.0

Structure (POSCAR):
```
DyRh5
1.0
-0.684 -2.982 -4.171
-0.009 -2.115 4.721
-4.255 0.607 0.264
Rh Dy
5 1
Cartesian
-0.459 -2.693 -1.207
-2.470 -1.188 -1.954
-2.132 -0.754 2.492
-0.234 -2.404 1.757
-2.474 -2.245 0.407
0.000 0.000 0.000
```

---

Record 2
Entry from the Materials Project: a relaxed structure of Dy2RuRh (r2SCAN).

Computed properties:
- size of the total moment (Bohr magnetons per cell) = 0.0

Structure (POSCAR):
```
Dy2RuRh
1.0
0.278 -4.221 -2.247
-3.436 -1.311 -3.068
0.916 -0.156 -4.698
Ru Rh Dy
1 1 2
Cartesian
-1.681 -4.266 -7.510
-0.560 -1.422 -2.503
0.000 0.000 0.000
-1.121 -2.844 -5.006
```

---

Record 3
Entry from the Materials Project: a relaxed structure of Dy2Si5Rh3 (r2SCAN).

Computed properties:
- size of the total moment (Bohr magnetons per cell) = 0.0

Structure (POSCAR):
```
Dy2Si5Rh3
1.0
5.880 5.529 -0.003
-5.880 5.529 -0.003
0.000 2.666 4.985
Si Dy Rh
10 4 6
Cartesian
1.228 2.690 1.689
-0.138 6.196 1.243
1.228 9.701 0.797
3.247 7.529 3.735
-3.247 6.196 1.243
0.138 7.529 3.735
-1.228 11.034 3.289
3.402 6.196 1.243
-3.402 7.529 3.735
-1.228 4.023 4.181
1.574 4.927 3.680
-1.574 3.594 1.188
-1.574 8.797 1.298
1.574 10.130 3.791
-1.642 8.972 4.350
-5.854 7.529 3.735
-1.642 6.085 3.121
5.854 6.196 1.243
1.642 4.752 0.629
1.642 7.639 1.857
```

---

| no. | calculated formation energy (eV/atom) |
| --- | --- |
| 1 | -0.329 |
| 2 | -0.679 |
| 3 | -1.030 |